Here is crystalline Na2Si2O5 at its relaxed geometry from Materials Project. Energies are from PBE-GGA.

abc: 4.921 8.221 12.466
angles: 75.76 90.00 90.00
Positions (direct):
Na1 0.274 0.865 0.972
Na2 0.226 0.865 0.472
Na3 0.254 0.379 0.057
Na4 0.746 0.621 0.943
Na5 0.246 0.379 0.557
Na6 0.726 0.135 0.028
Na7 0.754 0.621 0.443
Na8 0.774 0.135 0.528
O1 0.270 0.609 0.901
O2 0.363 0.015 0.286
O3 0.616 0.545 0.268
O4 0.753 0.226 0.819
O5 0.863 0.985 0.214
O6 0.253 0.774 0.681
O7 0.770 0.391 0.599
O8 0.748 0.907 0.436
O9 0.248 0.093 0.064
O10 0.884 0.545 0.768
O11 0.752 0.907 0.936
O12 0.137 0.015 0.786
O13 0.116 0.455 0.232
O14 0.252 0.093 0.564
O15 0.230 0.609 0.401
O16 0.730 0.391 0.099
O17 0.247 0.774 0.181
O18 0.747 0.226 0.319
O19 0.637 0.985 0.714
O20 0.384 0.455 0.732
Si1 0.292 0.597 0.277
Si2 0.812 0.028 0.817
Si3 0.188 0.972 0.183
Si4 0.312 0.972 0.683
Si5 0.792 0.403 0.223
Si6 0.708 0.403 0.723
Si7 0.208 0.597 0.777
Si8 0.688 0.028 0.317

Properties
* E_tot: -6.770 eV/atom
* corrected total energy (MP2020 scheme): -7.15 eV per atom
* energy relative to the elements: -2.9037 eV/atom
* space group: P2_1/c, No. 14
* calculated volume: 489 Å³/cell
* crystal system: monoclinic
* relative energy among the computed polymorphs: 0.0 kJ per mole of atoms

---

Here is crystalline NaSi3O6 at its relaxed geometry from Materials Project. Energies are from PBE-GGA.

abc: 12.016 12.016 12.016
angles: 90.00 90.00 90.00
Positions (direct):
Si1 0.375 0.000 0.818
Si2 0.182 0.000 0.625
Si3 0.818 0.000 0.625
Si4 0.625 0.000 0.818
Si5 0.818 0.000 0.375
Si6 0.000 0.182 0.625
Si7 0.375 0.000 0.182
Si8 0.818 0.625 0.000
Si9 0.375 0.182 0.000
Si10 0.182 0.625 0.000
Si11 0.000 0.375 0.818
Si12 0.375 0.818 0.000
Si13 0.625 0.000 0.182
Si14 0.818 0.375 0.000
Si15 0.000 0.182 0.375
Si16 0.000 0.375 0.182
Si17 0.625 0.182 0.000
Si18 0.182 0.000 0.375
Si19 0.000 0.625 0.818
Si20 0.000 0.625 0.182
Si21 0.182 0.375 0.000
Si22 0.625 0.818 0.000
Si23 0.000 0.818 0.625
Si24 0.000 0.818 0.375
O1 0.883 0.339 0.117
O2 0.117 0.883 0.661
O3 0.000 0.500 0.236
O4 0.711 0.000 0.711
O5 0.000 0.289 0.711
O6 0.500 0.000 0.236
O7 0.236 0.500 0.000
O8 0.883 0.883 0.339
O9 0.883 0.661 0.883
O10 0.117 0.117 0.661
O11 0.661 0.883 0.117
O12 0.117 0.339 0.883
O13 0.339 0.117 0.883
O14 0.236 0.000 0.500
O15 0.883 0.117 0.339
O16 0.289 0.289 0.000
O17 0.339 0.883 0.117
O18 0.883 0.339 0.883
O19 0.764 0.000 0.500
O20 0.661 0.883 0.883
O21 0.000 0.711 0.289
O22 0.000 0.236 0.500
O23 0.711 0.289 0.000
O24 0.500 0.764 0.000
O25 0.764 0.500 0.000
O26 0.711 0.711 0.000
O27 0.289 0.711 0.000
O28 0.117 0.883 0.339
O29 0.339 0.117 0.117
O30 0.339 0.883 0.883
O31 0.883 0.883 0.661
O32 0.289 0.000 0.711
O33 0.000 0.764 0.500
O34 0.661 0.117 0.117
O35 0.117 0.661 0.883
O36 0.117 0.661 0.117
O37 0.000 0.500 0.764
O38 0.711 0.000 0.289
O39 0.117 0.339 0.117
O40 0.500 0.236 0.000
O41 0.661 0.117 0.883
O42 0.289 0.000 0.289
O43 0.500 0.000 0.764
O44 0.883 0.117 0.661
O45 0.883 0.661 0.117
O46 0.000 0.289 0.289
O47 0.000 0.711 0.711
O48 0.117 0.117 0.339
Na1 0.214 0.214 0.214
Na2 0.214 0.786 0.214
Na3 0.786 0.786 0.214
Na4 0.786 0.214 0.786
Na5 0.214 0.786 0.786
Na6 0.786 0.214 0.214
Na7 0.786 0.786 0.786
Na8 0.214 0.214 0.786

Properties
* E_tot: -7.143 eV/atom
* corrected total energy (MP2020 scheme): -7.56 eV per atom
* energy relative to the elements: -2.8267 eV/atom
* space group: Pm-3m, No. 221
* calculated volume: 1735 Å³/cell
* crystal system: cubic

---

Here is crystalline NaSi2O8 at its relaxed geometry from Materials Project. Energies are from PBE-GGA.

abc: 4.893 7.935 17.450
angles: 90.00 90.00 90.00
Positions (direct):
Si1 0.502 0.448 0.201
Si2 0.002 0.552 0.299
Si3 0.002 0.052 0.701
Si4 0.998 0.448 0.701
Si5 0.498 0.552 0.799
Si6 0.498 0.052 0.201
Si7 0.998 0.948 0.299
Si8 0.502 0.948 0.799
O1 0.707 0.993 0.417
O2 0.000 0.250 0.680
O3 0.422 0.934 0.124
O4 0.207 0.007 0.083
O5 0.578 0.066 0.876
O6 0.294 0.016 0.273
O7 0.000 0.250 0.525
O8 0.206 0.016 0.773
O9 0.000 0.750 0.475
O10 0.000 0.750 0.320
O11 0.207 0.507 0.917
O12 0.500 0.750 0.820
O13 0.078 0.434 0.376
O14 0.794 0.984 0.227
O15 0.793 0.493 0.083
O16 0.578 0.566 0.124
O17 0.707 0.493 0.583
O18 0.706 0.984 0.727
O19 0.294 0.516 0.727
O20 0.500 0.250 0.025
O21 0.794 0.484 0.773
O22 0.078 0.934 0.624
O23 0.500 0.250 0.180
O24 0.293 0.007 0.583
O25 0.706 0.484 0.273
O26 0.793 0.993 0.917
O27 0.206 0.516 0.227
O28 0.922 0.566 0.624
O29 0.422 0.434 0.876
O30 0.293 0.507 0.417
O31 0.922 0.066 0.376
O32 0.500 0.750 0.975
Na1 0.500 0.750 0.495
Na2 0.000 0.250 0.005
Na3 0.500 0.250 0.505
Na4 0.000 0.750 0.995

Properties
* E_tot: -6.007 eV/atom
* corrected total energy (MP2020 scheme): -6.12 eV per atom
* energy relative to the elements: -1.4193 eV/atom
* space group: Pbcn, No. 60
* calculated volume: 678 Å³/cell
* crystal system: orthorhombic